Run 1
# PBE Na2UI6, optimized geometry
# Magnetization: 2.000 μB per formula unit
data_Na2UI6
_chemical_formula_sum 'Na4 U2 I12'
_cell_length_a 9.902
_cell_length_b 9.902
_cell_length_c 9.902
_cell_angle_alpha 90.00
_cell_angle_beta 90.00
_cell_angle_gamma 90.00
_symmetry_space_group_name_H-M 'P n -3 m'
_symmetry_Int_Tables_number 224
loop_
_symmetry_equiv_pos_as_xyz
'x,y,z'
'-x,-y,-z'
'-y,x+1/2,z+1/2'
'y,-x+1/2,-z+1/2'
'-x+1/2,-y+1/2,z'
'x+1/2,y+1/2,-z'
'y+1/2,-x,z+1/2'
'-y+1/2,x,-z+1/2'
'x,-y+1/2,-z+1/2'
'-x,y+1/2,z+1/2'
'-y,-x,-z'
'y,x,z'
'-x+1/2,y,-z+1/2'
'x+1/2,-y,z+1/2'
'y+1/2,x+1/2,-z'
'-y+1/2,-x+1/2,z'
'z,x,y'
'-z,-x,-y'
'z+1/2,-y,x+1/2'
'-z+1/2,y,-x+1/2'
'z,-x+1/2,-y+1/2'
'-z,x+1/2,y+1/2'
'z+1/2,y+1/2,-x'
'-z+1/2,-y+1/2,x'
'-z+1/2,x,-y+1/2'
'z+1/2,-x,y+1/2'
'-z,-y,-x'
'z,y,x'
'-z+1/2,-x+1/2,y'
'z+1/2,x+1/2,-y'
'-z,y+1/2,x+1/2'
'z,-y+1/2,-x+1/2'
'y,z,x'
'-y,-z,-x'
'x+1/2,z+1/2,-y'
'-x+1/2,-z+1/2,y'
'-y+1/2,z,-x+1/2'
'y+1/2,-z,x+1/2'
'-x,z+1/2,y+1/2'
'x,-z+1/2,-y+1/2'
'-y+1/2,-z+1/2,x'
'y+1/2,z+1/2,-x'
'-x,-z,-y'
'x,z,y'
'y,-z+1/2,-x+1/2'
'-y,z+1/2,x+1/2'
'x+1/2,-z,y+1/2'
'-x+1/2,z,-y+1/2'
loop_
_atom_site_label
_atom_site_type_symbol
_atom_site_fract_x
_atom_site_fract_y
_atom_site_fract_z
Na1 Na 0.000 0.000 0.000
U1 U 0.250 0.250 0.250
I1 I 0.053 0.750 0.750

***

Run 2
# PBE Na2UI6, optimized geometry
# Magnetization: 2.003 μB per formula unit
data_Na2UI6
_chemical_formula_sum 'Na6 U3 I18'
_cell_length_a 7.961
_cell_length_b 8.761
_cell_length_c 19.811
_cell_angle_alpha 85.42
_cell_angle_beta 89.92
_cell_angle_gamma 63.04
_symmetry_space_group_name_H-M 'P 1'
_symmetry_Int_Tables_number 1
loop_
_symmetry_equiv_pos_as_xyz
'x,y,z'
loop_
_atom_site_label
_atom_site_type_symbol
_atom_site_fract_x
_atom_site_fract_y
_atom_site_fract_z
Na1 Na 0.000 0.000 0.000
Na2 Na 0.090 0.820 0.725
Na3 Na 0.181 0.645 0.457
Na4 Na 0.511 0.981 0.122
Na5 Na 0.669 0.665 0.334
Na6 Na 0.841 0.319 0.788
U1 U 0.090 0.823 0.227
U2 U 0.428 0.157 0.893
U3 U 0.754 0.488 0.561
I1 I 0.054 0.174 0.643
I2 I 0.121 0.479 0.815
I3 I 0.195 0.266 0.020
I4 I 0.211 0.951 0.859
I5 I 0.297 0.027 0.261
I6 I 0.318 0.712 0.101
I7 I 0.387 0.505 0.308
I8 I 0.459 0.809 0.480
I9 I 0.529 0.607 0.688
I10 I 0.547 0.291 0.528
I11 I 0.635 0.363 0.929
I12 I 0.651 0.048 0.766
I13 I 0.722 0.836 0.976
I14 I 0.793 0.142 0.147
I15 I 0.862 0.936 0.353
I16 I 0.882 0.620 0.193
I17 I 0.959 0.697 0.593
I18 I 0.986 0.380 0.435

***

Relative to the most stable structure, the computed energies are run 1 6.4; run 2 0.0, all in kJ/mol of atoms.

***

Run 1
# PBE NbPO5, optimized geometry
# Magnetization: 0.000 μB per formula unit
data_NbPO5
_chemical_formula_sum 'Nb4 P4 O20'
_cell_length_a 7.662
_cell_length_b 6.558
_cell_length_c 7.527
_cell_angle_alpha 90.00
_cell_angle_beta 90.00
_cell_angle_gamma 90.00
_symmetry_space_group_name_H-M 'P n m a'
_symmetry_Int_Tables_number 62
loop_
_symmetry_equiv_pos_as_xyz
'x,y,z'
'-x,-y,-z'
'-x+1/2,-y,z+1/2'
'x+1/2,y,-z+1/2'
'x+1/2,-y+1/2,-z+1/2'
'-x+1/2,y+1/2,z+1/2'
'-x,y+1/2,-z'
'x,-y+1/2,z'
loop_
_atom_site_label
_atom_site_type_symbol
_atom_site_fract_x
_atom_site_fract_y
_atom_site_fract_z
Nb1 Nb 0.154 0.250 0.240
P1 P 0.122 0.750 0.123
O1 O 0.048 0.250 0.990
O2 O 0.118 0.750 0.675
O3 O 0.127 0.559 0.241
O4 O 0.215 0.250 0.499

***

Run 2
# PBE NbPO5, optimized geometry
# Magnetization: 0.000 μB per formula unit
data_NbPO5
_chemical_formula_sum 'Nb8 P8 O40'
_cell_length_a 13.283
_cell_length_b 5.393
_cell_length_c 13.509
_cell_angle_alpha 90.00
_cell_angle_beta 120.34
_cell_angle_gamma 90.00
_symmetry_space_group_name_H-M 'P 1 21/c 1'
_symmetry_Int_Tables_number 14
loop_
_symmetry_equiv_pos_as_xyz
'x,y,z'
'-x,-y,-z'
'-x,y+1/2,-z+1/2'
'x,-y+1/2,z+1/2'
loop_
_atom_site_label
_atom_site_type_symbol
_atom_site_fract_x
_atom_site_fract_y
_atom_site_fract_z
Nb1 Nb 0.063 0.243 0.197
Nb2 Nb 0.437 0.746 0.134
P1 P 0.154 0.735 0.091
P2 P 0.346 0.240 0.938
O1 O 0.007 0.529 0.241
O2 O 0.081 0.739 0.459
O3 O 0.121 0.557 0.647
O4 O 0.135 0.022 0.627
O5 O 0.216 0.247 0.343
O6 O 0.284 0.735 0.628
O7 O 0.371 0.517 0.494
O8 O 0.372 0.053 0.525
O9 O 0.420 0.222 0.379
O10 O 0.498 0.026 0.236

***

Relative to the most stable structure, the computed energies are run 1 2.0; run 2 0.0, all in kJ/mol of atoms.

***

Run 1
# PBE Tb2MgTi2S2O5, optimized geometry
# Magnetization: 1.181 μB per formula unit
data_Tb2MgTi2S2O5
_chemical_formula_sum 'Tb4 Mg2 Ti4 S4 O10'
_cell_length_a 3.912
_cell_length_b 3.912
_cell_length_c 22.419
_cell_angle_alpha 90.00
_cell_angle_beta 90.00
_cell_angle_gamma 90.00
_symmetry_space_group_name_H-M 'I 4/m m m'
_symmetry_Int_Tables_number 139
_symmetry_space_group_name_Hall '-I 4 2'
loop_
_atom_site_label
_atom_site_type_symbol
_atom_site_fract_x
_atom_site_fract_y
_atom_site_fract_z
Tb1 Tb 0.000 0.000 0.166
Mg1 Mg 0.000 0.000 0.000
Ti1 Ti 0.000 0.000 0.413
S1 S 0.000 0.000 0.295
O1 O 0.000 0.000 0.500
O2 O 0.000 0.500 0.097

***

Run 2
# PBE Tb2MgTi2S2O5, optimized geometry
# Magnetization: 1.347 μB per formula unit
data_Tb2MgTi2S2O5
_chemical_formula_sum 'Tb4 Mg2 Ti4 S4 O10'
_cell_length_a 5.380
_cell_length_b 5.383
_cell_length_c 14.172
_cell_angle_alpha 90.00
_cell_angle_beta 90.32
_cell_angle_gamma 90.00
_symmetry_space_group_name_H-M 'C 1 m 1'
_symmetry_Int_Tables_number 8
loop_
_symmetry_equiv_pos_as_xyz
'x,y,z'
'x,-y,z'
'x+1/2,y+1/2,z'
'x+1/2,-y+1/2,z'
loop_
_atom_site_label
_atom_site_type_symbol
_atom_site_fract_x
_atom_site_fract_y
_atom_site_fract_z
Tb1 Tb 0.000 0.000 0.000
Tb2 Tb 0.004 0.500 0.721
Mg1 Mg 0.013 0.000 0.492
Ti1 Ti 0.003 0.500 0.139
Ti2 Ti 0.012 0.500 0.396
S1 S 0.000 0.500 0.905
S2 S 0.004 0.000 0.674
O1 O 0.009 0.500 0.268
O2 O 0.252 0.249 0.090
O3 O 0.262 0.250 0.445

***

Relative to the most stable structure, the computed energies are run 1 9.5; run 2 0.0, all in kJ/mol of atoms.

***

Run 1
# PBE Mg4CuO5, optimized geometry
# Magnetization: 1.004 μB per formula unit
data_Mg4CuO5
_chemical_formula_sum 'Mg8 Cu2 O10'
_cell_length_a 3.015
_cell_length_b 4.252
_cell_length_c 15.039
_cell_angle_alpha 90.00
_cell_angle_beta 90.00
_cell_angle_gamma 90.00
_symmetry_space_group_name_H-M 'I m m m'
_symmetry_Int_Tables_number 71
_symmetry_space_group_name_Hall '-I 2 2'
loop_
_atom_site_label
_atom_site_type_symbol
_atom_site_fract_x
_atom_site_fract_y
_atom_site_fract_z
Mg1 Mg 0.000 0.000 0.099
Mg2 Mg 0.000 0.000 0.300
Cu1 Cu 0.000 0.000 0.500
O1 O 0.000 0.500 0.102
O2 O 0.000 0.500 0.300
O3 O 0.000 0.500 0.500

***

Run 2
# PBE Mg4CuO5, optimized geometry
# Magnetization: 0.882 μB per formula unit
data_Mg4CuO5
_chemical_formula_sum 'Mg8 Cu2 O10'
_cell_length_a 3.008
_cell_length_b 3.008
_cell_length_c 21.255
_cell_angle_alpha 90.00
_cell_angle_beta 90.00
_cell_angle_gamma 90.00
_symmetry_space_group_name_H-M 'I 4/m m m'
_symmetry_Int_Tables_number 139
_symmetry_space_group_name_Hall '-I 4 2'
loop_
_atom_site_label
_atom_site_type_symbol
_atom_site_fract_x
_atom_site_fract_y
_atom_site_fract_z
Mg1 Mg 0.000 0.000 0.099
Mg2 Mg 0.000 0.000 0.300
Cu1 Cu 0.000 0.000 0.500
O1 O 0.000 0.000 0.000
O2 O 0.000 0.000 0.200
O3 O 0.000 0.000 0.399

***

Relative to the most stable structure, the computed energies are run 1 1.4; run 2 0.0, all in kJ/mol of atoms.

***

Run 1
The following is a PBE calculation of a relaxed structure of K2SnCl6, from the Materials Project.

Structure (CIF):
```
data_K2SnCl6
_chemical_formula_sum 'K4 Sn2 Cl12'
_cell_length_a 7.238
_cell_length_b 7.229
_cell_length_c 12.541
_cell_angle_alpha 90.00
_cell_angle_beta 124.80
_cell_angle_gamma 90.00
_symmetry_space_group_name_H-M 'P 1 21/c 1'
_symmetry_Int_Tables_number 14
loop_
_symmetry_equiv_pos_as_xyz
'x,y,z'
'-x,-y,-z'
'-x,y+1/2,-z+1/2'
'x,-y+1/2,z+1/2'
loop_
_atom_site_label
_atom_site_type_symbol
_atom_site_fract_x
_atom_site_fract_y
_atom_site_fract_z
K1 K 0.238 0.027 0.245
Sn1 Sn 0.500 0.000 0.000
Cl1 Cl 0.209 0.209 0.978
Cl2 Cl 0.274 0.730 0.982
Cl3 Cl 0.305 0.001 0.762
```

***

Run 2
The following is a PBE calculation of a relaxed structure of K2SnCl6, from the Materials Project.

Structure (CIF):
```
data_K2SnCl6
_chemical_formula_sum 'K4 Sn2 Cl12'
_cell_length_a 7.292
_cell_length_b 7.292
_cell_length_c 10.069
_cell_angle_alpha 90.00
_cell_angle_beta 90.00
_cell_angle_gamma 90.00
_symmetry_space_group_name_H-M 'P 4/m n c'
_symmetry_Int_Tables_number 128
_symmetry_space_group_name_Hall '-P 4 2n'
loop_
_atom_site_label
_atom_site_type_symbol
_atom_site_fract_x
_atom_site_fract_y
_atom_site_fract_z
K1 K 0.000 0.500 0.250
Sn1 Sn 0.000 0.000 0.000
Cl1 Cl 0.000 0.000 0.245
Cl2 Cl 0.223 0.255 0.000
```

***

Relative to the most stable structure, the computed energies are run 1 0.0; run 2 0.6, all in kJ/mol of atoms.

***

Run 1
# PBE SbP4O12, optimized geometry
# Magnetization: 1.000 μB per formula unit
data_SbP4O12
_chemical_formula_sum 'Sb4 P16 O48'
_cell_length_a 15.906
_cell_length_b 7.154
_cell_length_c 9.283
_cell_angle_alpha 90.00
_cell_angle_beta 124.45
_cell_angle_gamma 90.00
_symmetry_space_group_name_H-M 'C 1 2/c 1'
_symmetry_Int_Tables_number 15
loop_
_symmetry_equiv_pos_as_xyz
'x,y,z'
'-x,-y,-z'
'-x,y,-z+1/2'
'x,-y,z+1/2'
'x+1/2,y+1/2,z'
'-x+1/2,-y+1/2,-z'
'-x+1/2,y+1/2,-z+1/2'
'x+1/2,-y+1/2,z+1/2'
loop_
_atom_site_label
_atom_site_type_symbol
_atom_site_fract_x
_atom_site_fract_y
_atom_site_fract_z
Sb1 Sb 0.000 0.203 0.250
P1 P 0.137 0.472 0.124
P2 P 0.142 0.131 0.687
O1 O 0.061 0.048 0.702
O2 O 0.065 0.489 0.433
O3 O 0.120 0.304 0.205
O4 O 0.129 0.116 0.512
O5 O 0.152 0.347 0.741
O6 O 0.249 0.449 0.163

***

Run 2
The following is a PBE calculation of a relaxed structure of SbP4O12, from the Materials Project.

Structure (CIF):
```
data_SbP4O12
_chemical_formula_sum 'Sb4 P16 O48'
_cell_length_a 11.994
_cell_length_b 8.543
_cell_length_c 10.289
_cell_angle_alpha 90.00
_cell_angle_beta 119.72
_cell_angle_gamma 90.00
_symmetry_space_group_name_H-M 'C 1 2/c 1'
_symmetry_Int_Tables_number 15
loop_
_symmetry_equiv_pos_as_xyz
'x,y,z'
'-x,-y,-z'
'-x,y,-z+1/2'
'x,-y,z+1/2'
'x+1/2,y+1/2,z'
'-x+1/2,-y+1/2,-z'
'-x+1/2,y+1/2,-z+1/2'
'x+1/2,-y+1/2,z+1/2'
loop_
_atom_site_label
_atom_site_type_symbol
_atom_site_fract_x
_atom_site_fract_y
_atom_site_fract_z
Sb1 Sb 0.000 0.061 0.250
P1 P 0.011 0.268 0.981
P2 P 0.200 0.492 0.199
O1 O 0.037 0.238 0.410
O2 O 0.039 0.128 0.913
O3 O 0.085 0.380 0.650
O4 O 0.141 0.368 0.060
O5 O 0.197 0.078 0.320
O6 O 0.230 0.422 0.343
```

***

Relative to the most stable structure, the computed energies are run 1 0.0; run 2 1.9, all in kJ/mol of atoms.

***

Run 1
# PBE SiC, optimized geometry
# Maximum piezoelectric response: 0.1 C/m²
data_SiC
_chemical_formula_sum 'Si5 C5'
_cell_length_a 3.0945
_cell_length_b 3.0945
_cell_length_c 12.6620
_cell_angle_alpha 90.00
_cell_angle_beta 90.00
_cell_angle_gamma 120.00
_symmetry_space_group_name_H-M 'P 3 m 1'
_symmetry_Int_Tables_number 156
loop_
_symmetry_equiv_pos_as_xyz
'x,y,z'
'-y,x-y,z'
'-x+y,-x,z'
'-y,-x,z'
'-x+y,y,z'
'x,x-y,z'
loop_
_atom_site_label
_atom_site_type_symbol
_atom_site_fract_x
_atom_site_fract_y
_atom_site_fract_z
Si1 Si 0.0000 0.0000 0.0000
Si2 Si 0.0000 0.0000 0.4003
Si3 Si 0.3333 0.6667 0.2001
Si4 Si 0.3333 0.6667 0.6003
Si5 Si 0.6667 0.3333 0.8002
C1 C 0.0000 0.0000 0.1500
C2 C 0.0000 0.0000 0.5506
C3 C 0.3333 0.6667 0.3504
C4 C 0.3333 0.6667 0.7504
C5 C 0.6667 0.3333 0.9502

***

Run 2
# PBE SiC, optimized geometry
# Magnetization: 0.000 μB per formula unit
data_SiC
_chemical_formula_sum 'Si39 C39'
_cell_length_a 3.0985
_cell_length_b 3.0985
_cell_length_c 98.5653
_cell_angle_alpha 90.00
_cell_angle_beta 90.00
_cell_angle_gamma 120.00
_symmetry_space_group_name_H-M 'R 3 m'
_symmetry_Int_Tables_number 160
_symmetry_space_group_name_Hall 'R 3 -2"'
loop_
_atom_site_label
_atom_site_type_symbol
_atom_site_fract_x
_atom_site_fract_y
_atom_site_fract_z
Si1 Si 0.0000 0.0000 0.0000
Si2 Si 0.0000 0.0000 0.0513
Si3 Si 0.0000 0.0000 0.1282
Si4 Si 0.0000 0.0000 0.2051
Si5 Si 0.0000 0.0000 0.2821
Si6 Si 0.0000 0.0000 0.3590
Si7 Si 0.0000 0.0000 0.4359
Si8 Si 0.0000 0.0000 0.4872
Si9 Si 0.0000 0.0000 0.5897
Si10 Si 0.0000 0.0000 0.6410
Si11 Si 0.0000 0.0000 0.7436
Si12 Si 0.0000 0.0000 0.8462
Si13 Si 0.0000 0.0000 0.8975
C1 C 0.0000 0.0000 0.0321
C2 C 0.0000 0.0000 0.1089
C3 C 0.0000 0.0000 0.1858
C4 C 0.0000 0.0000 0.2627
C5 C 0.0000 0.0000 0.3397
C6 C 0.0000 0.0000 0.4166
C7 C 0.0000 0.0000 0.4680
C8 C 0.0000 0.0000 0.5705
C9 C 0.0000 0.0000 0.6218
C10 C 0.0000 0.0000 0.7243
C11 C 0.0000 0.0000 0.8269
C12 C 0.0000 0.0000 0.8782
C13 C 0.0000 0.0000 0.9807

***

Relative to the most stable structure, the computed energies are run 1 0.0; run 2 2.9, all in kJ/mol of atoms.